VASP calculation (GGA+U) on a geometry-optimized VCrO3 structure.

Values from the calculation:
The MP2020-corrected energy is -0.336 hartree per atom. The total energy comes out at -8.001 eV/atom.

CIF file:
```
data_VCrO3
_cell_length_a 5.134
_cell_length_b 5.493
_cell_length_c 7.494
_cell_angle_alpha 95.50
_cell_angle_beta 90.02
_cell_angle_gamma 90.11
_symmetry_space_group_name_H-M 'P 1'
_symmetry_Int_Tables_number 1
_symmetry_space_group_name_Hall 'P 1'
loop_
_atom_site_label
_atom_site_type_symbol
_atom_site_fract_x
_atom_site_fract_y
_atom_site_fract_z
V1 V 0.000 0.000 0.000
V2 V 0.000 0.001 0.499
V3 V 0.002 0.405 0.794
V4 V 0.501 0.500 0.495
Cr1 Cr 0.499 0.903 0.798
Cr2 Cr 0.500 0.503 0.995
Cr3 Cr 0.500 0.902 0.296
Cr4 Cr 0.999 0.403 0.294
O1 O 0.148 0.358 0.546
O2 O 0.155 0.053 0.245
O3 O 0.198 0.702 0.895
O4 O 0.305 0.201 0.896
O5 O 0.347 0.553 0.243
O6 O 0.351 0.858 0.548
O7 O 0.649 0.852 0.049
O8 O 0.650 0.553 0.744
O9 O 0.697 0.202 0.393
O10 O 0.805 0.703 0.393
O11 O 0.846 0.050 0.746
O12 O 0.848 0.357 0.047
```

VASP calculation (GGA+U) on a geometry-optimized Mg14NbCrO16 structure.

Values from the calculation:
The MP2020-corrected energy is -0.243 hartree per atom. As for the relative energy among the computed polymorphs: 0.11 eV per formula unit. The total energy comes out at -6.198 eV/atom.

CIF file:
```
data_Mg14NbCrO16
_cell_length_a 4.284
_cell_length_b 8.613
_cell_length_c 8.721
_cell_angle_alpha 90.00
_cell_angle_beta 90.00
_cell_angle_gamma 90.00
_symmetry_space_group_name_H-M 'P m m m'
_symmetry_Int_Tables_number 47
_symmetry_space_group_name_Hall '-P 2 2'
loop_
_atom_site_label
_atom_site_type_symbol
_atom_site_fract_x
_atom_site_fract_y
_atom_site_fract_z
Mg1 Mg 0.000 0.000 0.000
Mg2 Mg 0.000 0.247 0.246
Mg3 Mg 0.000 0.500 0.000
Mg4 Mg 0.500 0.000 0.246
Mg5 Mg 0.500 0.245 0.500
Mg6 Mg 0.500 0.249 0.000
Mg7 Mg 0.500 0.500 0.245
Nb1 Nb 0.000 0.500 0.500
Cr1 Cr 0.000 0.000 0.500
O1 O 0.000 0.000 0.234
O2 O 0.000 0.241 0.500
O3 O 0.000 0.252 0.000
O4 O 0.000 0.500 0.239
O5 O 0.500 0.000 0.000
O6 O 0.500 0.000 0.500
O7 O 0.500 0.250 0.251
O8 O 0.500 0.500 0.000
O9 O 0.500 0.500 0.500
```

VASP calculation (GGA+U) on a geometry-optimized LiVP3O9 structure.

Values from the calculation:
The MP2020-corrected energy is -0.284 hartree per atom. As for the relative energy among the computed polymorphs: 0.64 eV per formula unit. The total energy comes out at -7.157 eV/atom.

CIF file:
```
data_LiVP3O9
_cell_length_a 6.4972
_cell_length_b 6.4972
_cell_length_c 9.7429
_cell_angle_alpha 90.00
_cell_angle_beta 90.00
_cell_angle_gamma 120.00
_symmetry_space_group_name_H-M 'P -6 c 2'
_symmetry_Int_Tables_number 188
_symmetry_space_group_name_Hall 'P -6c 2'
loop_
_atom_site_label
_atom_site_type_symbol
_atom_site_fract_x
_atom_site_fract_y
_atom_site_fract_z
Li1 Li 0.0000 0.0000 0.0000
V1 V 0.3333 0.6667 0.0000
P1 P 0.4135 0.0594 0.2500
O1 O 0.0603 0.3600 0.1166
O2 O 0.4347 0.1196 0.7500
```

VASP calculation (GGA+U) on a geometry-optimized Sr5Ca3Mn4Fe4O24 structure.

Values from the calculation:
The MP2020-corrected energy is -0.273 hartree per atom. The total energy comes out at -6.616 eV/atom.

CIF file:
```
data_Sr5Ca3Mn4Fe4O24
_cell_length_a 10.989
_cell_length_b 10.989
_cell_length_c 7.754
_cell_angle_alpha 90.00
_cell_angle_beta 90.00
_cell_angle_gamma 90.00
_symmetry_space_group_name_H-M 'C 1 m 1'
_symmetry_Int_Tables_number 8
_symmetry_space_group_name_Hall 'C -2y'
loop_
_atom_site_label
_atom_site_type_symbol
_atom_site_fract_x
_atom_site_fract_y
_atom_site_fract_z
Sr1 Sr 0.000 0.000 0.000
Sr2 Sr 0.000 0.000 0.499
Sr3 Sr 0.002 0.500 0.499
Sr4 Sr 0.251 0.251 0.499
Ca1 Ca 0.002 0.500 0.000
Ca2 Ca 0.251 0.251 0.000
Mn1 Mn 0.001 0.251 0.248
Mn2 Mn 0.250 0.500 0.752
Mn3 Mn 0.251 0.500 0.248
Fe1 Fe 0.001 0.251 0.751
Fe2 Fe 0.252 0.000 0.248
Fe3 Fe 0.252 0.000 0.752
O1 O 0.001 0.251 0.495
O2 O 0.001 0.253 0.003
O3 O 0.126 0.128 0.245
O4 O 0.126 0.376 0.242
O5 O 0.128 0.377 0.756
O6 O 0.129 0.125 0.754
O7 O 0.248 0.500 0.000
O8 O 0.251 0.500 0.498
O9 O 0.252 0.000 0.503
O10 O 0.254 0.000 0.996
O11 O 0.373 0.375 0.754
O12 O 0.374 0.374 0.245
O13 O 0.375 0.123 0.755
O14 O 0.378 0.127 0.243
```

VASP calculation (GGA+U) on a geometry-optimized MgFe4H42S6O46 structure.

Values from the calculation:
The MP2020-corrected energy is -0.215 hartree per atom. The total energy comes out at -5.445 eV/atom.

CIF file:
```
data_MgFe4H42S6O46
_cell_length_a 7.450
_cell_length_b 7.519
_cell_length_c 18.668
_cell_angle_alpha 98.74
_cell_angle_beta 95.45
_cell_angle_gamma 102.90
_symmetry_space_group_name_H-M 'P -1'
_symmetry_Int_Tables_number 2
_symmetry_space_group_name_Hall '-P 1'
loop_
_atom_site_label
_atom_site_type_symbol
_atom_site_fract_x
_atom_site_fract_y
_atom_site_fract_z
Mg1 Mg 0.000 0.000 0.000
Fe1 Fe 0.183 0.393 0.331
Fe2 Fe 0.461 0.216 0.685
H1 H 0.022 0.220 0.897
H2 H 0.036 0.873 0.861
H3 H 0.072 0.351 0.973
H4 H 0.089 0.297 0.110
H5 H 0.149 0.258 0.751
H6 H 0.153 0.109 0.587
H7 H 0.160 0.493 0.577
H8 H 0.172 0.045 0.251
H9 H 0.187 0.164 0.426
H10 H 0.254 0.372 0.475
H11 H 0.269 0.455 0.739
H12 H 0.294 0.635 0.540
H13 H 0.309 0.014 0.554
H14 H 0.318 0.883 0.982
H15 H 0.335 0.321 0.927
H16 H 0.371 0.070 0.042
H17 H 0.383 0.148 0.280
H18 H 0.394 0.748 0.870
H19 H 0.445 0.627 0.927
H20 H 0.467 0.494 0.623
H21 H 0.495 0.346 0.876
S1 S 0.177 0.630 0.193
S2 S 0.211 0.806 0.420
S3 S 0.235 0.838 0.740
O1 O 0.044 0.160 0.101
O2 O 0.074 0.777 0.201
O3 O 0.080 0.754 0.677
O4 O 0.080 0.927 0.424
O5 O 0.090 0.235 0.947
O6 O 0.103 0.607 0.395
O7 O 0.113 0.496 0.243
O8 O 0.148 0.529 0.118
O9 O 0.170 0.958 0.797
O10 O 0.244 0.296 0.425
O11 O 0.250 0.318 0.725
O12 O 0.256 0.166 0.273
O13 O 0.266 0.967 0.016
O14 O 0.278 0.513 0.556
O15 O 0.289 0.122 0.588
O16 O 0.307 0.691 0.768
O17 O 0.320 0.823 0.493
O18 O 0.335 0.865 0.365
O19 O 0.384 0.714 0.216
O20 O 0.390 0.953 0.708
O21 O 0.435 0.756 0.923
O22 O 0.444 0.535 0.340
O23 O 0.452 0.404 0.920
```

VASP calculation (GGA+U) on a geometry-optimized Na2V6O15 structure.

Values from the calculation:
The MP2020-corrected energy is -0.295 hartree per atom. As for the relative energy among the computed polymorphs: 0.30 eV per formula unit. The total energy comes out at -7.149 eV/atom.

CIF file:
```
data_Na2V6O15
_cell_length_a 3.644
_cell_length_b 8.160
_cell_length_c 10.485
_cell_angle_alpha 76.72
_cell_angle_beta 89.82
_cell_angle_gamma 77.15
_symmetry_space_group_name_H-M 'P 1'
_symmetry_Int_Tables_number 1
_symmetry_space_group_name_Hall 'P 1'
loop_
_atom_site_label
_atom_site_type_symbol
_atom_site_fract_x
_atom_site_fract_y
_atom_site_fract_z
Na1 Na 0.000 0.000 0.000
Na2 Na 0.086 0.820 0.686
V1 V 0.219 0.561 0.245
V2 V 0.260 0.473 0.942
V3 V 0.433 0.128 0.240
V4 V 0.650 0.694 0.444
V5 V 0.830 0.341 0.744
V6 V 0.867 0.256 0.441
O1 O 0.129 0.750 0.146
O2 O 0.156 0.684 0.901
O3 O 0.172 0.650 0.417
O4 O 0.288 0.425 0.124
O5 O 0.296 0.406 0.766
O6 O 0.351 0.289 0.385
O7 O 0.445 0.103 0.087
O8 O 0.544 0.910 0.342
O9 O 0.637 0.719 0.596
O10 O 0.734 0.530 0.301
O11 O 0.793 0.407 0.922
O12 O 0.803 0.390 0.564
O13 O 0.913 0.168 0.270
O14 O 0.935 0.130 0.786
O15 O 0.958 0.066 0.540
```

VASP calculation (GGA+U) on a geometry-optimized Na3VB6O13 structure.

Values from the calculation:
The MP2020-corrected energy is -0.287 hartree per atom. The total energy comes out at -7.340 eV/atom.

CIF file:
```
data_Na3VB6O13
_cell_length_a 7.751
_cell_length_b 10.332
_cell_length_c 12.769
_cell_angle_alpha 90.00
_cell_angle_beta 90.00
_cell_angle_gamma 90.00
_symmetry_space_group_name_H-M 'P 21 21 21'
_symmetry_Int_Tables_number 19
_symmetry_space_group_name_Hall 'P 2ac 2ab'
loop_
_atom_site_label
_atom_site_type_symbol
_atom_site_fract_x
_atom_site_fract_y
_atom_site_fract_z
Na1 Na 0.129 0.005 0.478
Na2 Na 0.235 0.289 0.238
Na3 Na 0.242 0.724 0.239
V1 V 0.051 0.991 0.753
B1 B 0.029 0.630 0.424
B2 B 0.030 0.371 0.425
B3 B 0.095 0.001 0.222
B4 B 0.200 0.276 0.995
B5 B 0.203 0.724 0.996
B6 B 0.222 0.502 0.558
O1 O 0.025 0.847 0.695
O2 O 0.033 0.116 0.185
O3 O 0.036 0.885 0.183
O4 O 0.041 0.105 0.659
O5 O 0.105 0.500 0.462
O6 O 0.111 0.837 0.004
O7 O 0.116 0.160 0.008
O8 O 0.121 0.516 0.655
O9 O 0.161 0.386 0.052
O10 O 0.165 0.726 0.425
O11 O 0.168 0.276 0.422
O12 O 0.177 0.619 0.062
O13 O 0.221 0.001 0.299
```

VASP calculation (GGA+U) on a geometry-optimized FeOF structure.

Values from the calculation:
The MP2020-corrected energy is -0.263 hartree per atom. The total energy comes out at -6.014 eV/atom.

CIF file:
```
data_FeOF
_cell_length_a 14.229
_cell_length_b 3.103
_cell_length_c 14.295
_cell_angle_alpha 90.00
_cell_angle_beta 90.26
_cell_angle_gamma 90.00
_symmetry_space_group_name_H-M 'P 1 m 1'
_symmetry_Int_Tables_number 6
_symmetry_space_group_name_Hall 'P -2y'
loop_
_atom_site_label
_atom_site_type_symbol
_atom_site_fract_x
_atom_site_fract_y
_atom_site_fract_z
Fe1 Fe 0.000 0.000 0.000
Fe2 Fe 0.000 0.000 0.335
Fe3 Fe 0.007 0.000 0.662
Fe4 Fe 0.174 0.500 0.518
Fe5 Fe 0.192 0.500 0.833
Fe6 Fe 0.194 0.500 0.169
Fe7 Fe 0.331 0.000 0.665
Fe8 Fe 0.332 0.000 0.001
Fe9 Fe 0.343 0.000 0.332
Fe10 Fe 0.506 0.500 0.481
Fe11 Fe 0.524 0.500 0.834
Fe12 Fe 0.530 0.500 0.164
Fe13 Fe 0.668 0.000 0.335
Fe14 Fe 0.670 0.000 0.998
Fe15 Fe 0.671 0.000 0.671
Fe16 Fe 0.860 0.500 0.167
Fe17 Fe 0.861 0.500 0.501
Fe18 Fe 0.866 0.500 0.830
O1 O 0.074 0.500 0.602
O2 O 0.245 0.000 0.897
O3 O 0.246 0.000 0.560
O4 O 0.248 0.000 0.235
O5 O 0.281 0.500 0.729
O6 O 0.282 0.500 0.065
O7 O 0.441 0.000 0.428
O8 O 0.578 0.000 0.230
O9 O 0.579 0.000 0.895
O10 O 0.613 0.500 0.726
O11 O 0.615 0.500 0.399
O12 O 0.617 0.500 0.061
O13 O 0.906 0.000 0.564
O14 O 0.911 0.000 0.230
O15 O 0.914 0.000 0.896
O16 O 0.948 0.500 0.728
O17 O 0.949 0.500 0.064
O18 O 0.949 0.500 0.396
F1 F 0.080 0.500 0.265
F2 F 0.080 0.500 0.934
F3 F 0.115 0.000 0.771
F4 F 0.116 0.000 0.430
F5 F 0.117 0.000 0.102
F6 F 0.278 0.500 0.396
F7 F 0.411 0.500 0.263
F8 F 0.412 0.500 0.933
F9 F 0.416 0.500 0.600
F10 F 0.447 0.000 0.766
F11 F 0.448 0.000 0.099
F12 F 0.575 0.000 0.560
F13 F 0.739 0.500 0.598
F14 F 0.744 0.500 0.266
F15 F 0.746 0.500 0.932
F16 F 0.780 0.000 0.431
F17 F 0.780 0.000 0.764
F18 F 0.781 0.000 0.099
```